First-principles (r²SCAN) data for crystalline SeOF2 at its relaxed geometry, as listed in the Materials Project database.

a b c (Å): 5.5072 7.5528 6.0824
angles (deg): 90.00 90.00 90.00
Atoms (fractional coordinates):
Se 0.0391 0.1847 0.0000
Se 0.4609 0.1847 0.5000
Se 0.5391 0.8153 0.0000
Se 0.9609 0.8153 0.5000
O 0.2402 0.0915 0.6338
O 0.2598 0.0915 0.1338
O 0.7402 0.9085 0.6338
O 0.7598 0.9085 0.1338
F 0.1240 0.7252 0.7229
F 0.1639 0.3912 0.9422
F 0.3361 0.3912 0.4422
F 0.3760 0.7252 0.2229
F 0.6240 0.2748 0.7229
F 0.6639 0.6088 0.9422
F 0.8361 0.6088 0.4422
F 0.8760 0.2748 0.2229

Space group: Pca2_1 (29)
Total DFT energy (no corrections): -8.043 eV/atom


First-principles (r²SCAN) data for crystalline Tb2SeOF2 at its relaxed geometry, as listed in the Materials Project database.

a b c (Å): 13.3635 13.3635 3.7398
angles (deg): 90.00 90.00 120.00
Atoms (fractional coordinates):
Tb 0.0551 0.7664 0.2500
Tb 0.1170 0.5143 0.2500
Tb 0.2336 0.2887 0.2500
Tb 0.2887 0.0551 0.7500
Tb 0.3973 0.8830 0.2500
Tb 0.4857 0.6027 0.2500
Tb 0.5143 0.3973 0.7500
Tb 0.6027 0.1170 0.7500
Tb 0.7113 0.9449 0.2500
Tb 0.7664 0.7113 0.7500
Tb 0.8830 0.4857 0.7500
Tb 0.9449 0.2336 0.7500
Se 0.2061 0.7188 0.7500
Se 0.2812 0.4873 0.7500
Se 0.4873 0.2061 0.2500
Se 0.5127 0.7939 0.7500
Se 0.7188 0.5127 0.2500
Se 0.7939 0.2812 0.2500
O 0.0144 0.4267 0.7500
O 0.4123 0.9856 0.7500
O 0.4267 0.4123 0.2500
O 0.5733 0.5877 0.7500
O 0.5877 0.0144 0.2500
O 0.9856 0.5733 0.2500
F 0.0668 0.3145 0.2500
F 0.1011 0.8937 0.7500
F 0.1063 0.2074 0.7500
F 0.2074 0.1011 0.2500
F 0.2477 0.9332 0.2500
F 0.3145 0.2477 0.7500
F 0.6855 0.7523 0.2500
F 0.7523 0.0668 0.7500
F 0.7926 0.8989 0.7500
F 0.8937 0.7926 0.2500
F 0.8989 0.1063 0.2500
F 0.9332 0.6855 0.7500

Space group: P6_3/m (176)
Total DFT energy (no corrections): -18.589 eV/atom